(1)
Compound: Ba10PrY4Cu20O40
Source: the Materials Project database
Functional: PBE
Structure: optimized geometry

```
Ba10PrY4Cu20O40
1.0
9.7356 -13.7717 0.0000
9.7356 13.7717 0.0000
0.0000 0.0000 3.9058
Ba Pr Y Cu O
10 1 4 20 40
direct
0.0642 0.3365 0.0000
0.1369 0.8631 0.0000
0.2642 0.5360 0.0000
0.3365 0.0642 0.0000
0.4640 0.7358 0.0000
0.5360 0.2642 0.0000
0.6635 0.9358 0.0000
0.7358 0.4640 0.0000
0.8631 0.1369 0.0000
0.9358 0.6635 0.0000
0.0000 0.0000 0.0000
0.2010 0.2010 0.0000
0.4002 0.4002 0.0000
0.5998 0.5998 0.0000
0.7990 0.7990 0.0000
0.0382 0.1642 0.5000
0.0875 0.5127 0.5000
0.1128 0.6869 0.5000
0.1642 0.0382 0.5000
0.2388 0.3622 0.5000
0.2874 0.7126 0.5000
0.3131 0.8872 0.5000
0.3622 0.2388 0.5000
0.4384 0.5616 0.5000
0.4873 0.9125 0.5000
0.5127 0.0875 0.5000
0.5616 0.4384 0.5000
0.6378 0.7612 0.5000
0.6869 0.1128 0.5000
0.7126 0.2874 0.5000
0.7612 0.6378 0.5000
0.8358 0.9618 0.5000
0.8872 0.3131 0.5000
0.9125 0.4873 0.5000
0.9618 0.8358 0.5000
0.0187 0.5812 0.5000
0.0452 0.7540 0.5000
0.0498 0.1580 0.0000
0.0561 0.9439 0.5000
0.1493 0.2530 0.5000
0.1548 0.4455 0.5000
0.1580 0.0498 0.0000
0.1814 0.6182 0.5000
0.2186 0.7814 0.5000
0.2460 0.9548 0.5000
0.2482 0.3531 0.0000
0.2530 0.1493 0.5000
0.3483 0.4523 0.5000
0.3531 0.2482 0.0000
0.3548 0.6452 0.5000
0.3818 0.8186 0.5000
0.4188 0.9813 0.5000
0.4455 0.1548 0.5000
0.4475 0.5525 0.0000
0.4523 0.3483 0.5000
0.5477 0.6517 0.5000
0.5525 0.4475 0.0000
0.5545 0.8452 0.5000
0.5812 0.0187 0.5000
0.6182 0.1814 0.5000
0.6452 0.3548 0.5000
0.6469 0.7518 0.0000
0.6517 0.5477 0.5000
0.7470 0.8507 0.5000
0.7518 0.6469 0.0000
0.7540 0.0452 0.5000
0.7814 0.2186 0.5000
0.8186 0.3818 0.5000
0.8420 0.9502 0.0000
0.8452 0.5545 0.5000
0.8507 0.7470 0.5000
0.9439 0.0561 0.5000
0.9502 0.8420 0.0000
0.9548 0.2460 0.5000
0.9813 0.4188 0.5000
```

## Properties
SG ... Cmmm (65)
E_tot ... -6.061 eV per atom
Distance to the lowest polymorph of the same formula ... 0.004 eV/atom

(2)
Compound: Ba10PrY4Cu20O40
Source: the Materials Project database
Functional: PBE
Structure: optimized geometry

```
Ba10PrY4Cu20O40
1.0
1.9505 -68.3583 0.0000
1.9505 68.3583 0.0000
0.0000 0.0000 3.9025
Ba Pr Y Cu O
10 1 4 20 40
direct
0.0273 0.9727 0.0000
0.1728 0.8272 0.0000
0.2272 0.7728 0.0000
0.3729 0.6271 0.0000
0.4271 0.5729 0.0000
0.5729 0.4271 0.0000
0.6271 0.3729 0.0000
0.7728 0.2272 0.0000
0.8272 0.1728 0.0000
0.9727 0.0273 0.0000
0.0000 0.0000 0.0000
0.2000 0.8000 0.0000
0.4000 0.6000 0.0000
0.6000 0.4000 0.0000
0.8000 0.2000 0.0000
0.0574 0.9426 0.5000
0.0878 0.9122 0.5000
0.1122 0.8878 0.5000
0.1426 0.8574 0.5000
0.2574 0.7426 0.5000
0.2878 0.7122 0.5000
0.3122 0.6878 0.5000
0.3426 0.6574 0.5000
0.4574 0.5426 0.5000
0.4873 0.5127 0.5000
0.5127 0.4873 0.5000
0.5426 0.4574 0.5000
0.6574 0.3426 0.5000
0.6878 0.3122 0.5000
0.7122 0.2878 0.5000
0.7426 0.2574 0.5000
0.8574 0.1426 0.5000
0.8878 0.1122 0.5000
0.9122 0.0878 0.5000
0.9426 0.0574 0.5000
0.0112 0.9888 0.5000
0.0436 0.9564 0.5000
0.0710 0.9290 0.5000
0.0894 0.9106 0.0000
0.1106 0.8894 0.0000
0.1290 0.8710 0.5000
0.1564 0.8436 0.5000
0.1895 0.8105 0.5000
0.2105 0.7895 0.5000
0.2436 0.7564 0.5000
0.2710 0.7290 0.5000
0.2894 0.7106 0.0000
0.3106 0.6894 0.0000
0.3290 0.6710 0.5000
0.3564 0.6436 0.5000
0.3895 0.6105 0.5000
0.4105 0.5895 0.5000
0.4436 0.5564 0.5000
0.4709 0.5291 0.5000
0.4887 0.5113 0.0000
0.5113 0.4887 0.0000
0.5291 0.4709 0.5000
0.5564 0.4436 0.5000
0.5895 0.4105 0.5000
0.6105 0.3895 0.5000
0.6436 0.3564 0.5000
0.6710 0.3290 0.5000
0.6894 0.3106 0.0000
0.7106 0.2894 0.0000
0.7290 0.2710 0.5000
0.7564 0.2436 0.5000
0.7895 0.2105 0.5000
0.8105 0.1895 0.5000
0.8436 0.1564 0.5000
0.8710 0.1290 0.5000
0.8894 0.1106 0.0000
0.9106 0.0894 0.0000
0.9290 0.0710 0.5000
0.9564 0.0436 0.5000
0.9888 0.0112 0.5000
```

## Properties
SG ... Cmmm (65)
E_tot ... -6.066 eV per atom
Distance to the lowest polymorph of the same formula ... 0.000 eV/atom

(3)
Compound: Ba2SrY2Cu2PtO10
Source: the Materials Project database
Functional: PBE
Structure: optimized geometry

```
Ba2SrY2Cu2PtO10
1.0
6.2741 -2.8927 0.0000
6.2741 2.8927 0.0000
-1.9870 0.0000 7.2009
Ba Sr Y Cu Pt O
2 1 2 2 1 10
direct
0.1498 0.1498 0.0278
0.8502 0.8502 0.9722
0.0000 0.0000 0.5000
0.3107 0.3107 0.6254
0.6893 0.6893 0.3746
0.4146 0.4146 0.3054
0.5854 0.5854 0.6946
0.5000 0.5000 0.0000
0.0877 0.5618 0.3822
0.2555 0.7070 0.7799
0.2930 0.7445 0.2201
0.3324 0.3324 0.9494
0.4382 0.9123 0.6178
0.5618 0.0877 0.3822
0.6676 0.6676 0.0506
0.7070 0.2555 0.7799
0.7445 0.2930 0.2201
0.9123 0.4382 0.6178
```

## Properties
SG ... C2/m (12)
E_tot ... -6.725 eV per atom

(4)
Compound: Ba3Y2Cu2PtO10
Source: the Materials Project database
Functional: PBE
Structure: optimized geometry

```
Ba3Y2Cu2PtO10
1.0
6.3024 -2.9384 0.0000
6.3024 2.9384 0.0000
-2.0167 0.0000 7.2562
Ba Y Cu Pt O
3 2 2 1 10
direct
0.0000 0.0000 0.0000
0.1532 0.1532 0.5404
0.8468 0.8468 0.4596
0.3113 0.3113 0.1263
0.6887 0.6887 0.8737
0.4106 0.4106 0.8001
0.5894 0.5894 0.1999
0.5000 0.5000 0.5000
0.0885 0.5459 0.8753
0.2624 0.7036 0.2824
0.2964 0.7376 0.7176
0.3325 0.3325 0.4479
0.4541 0.9115 0.1247
0.5459 0.0885 0.8753
0.6675 0.6675 0.5521
0.7036 0.2624 0.2824
0.7376 0.2964 0.7176
0.9115 0.4541 0.1247
```

## Properties
SG ... C2/m (12)
E_tot ... -6.697 eV per atom

(5)
Compound: Ba3CuRu2O9
Source: the Materials Project database
Functional: PBE
Structure: optimized geometry

```
Ba3CuRu2O9
1.0
2.8814 -5.1733 0.0000
2.8814 5.1733 0.0000
0.0000 0.0000 14.4024
Ba Cu Ru O
6 2 4 18
direct
0.0172 0.9828 0.7500
0.3219 0.6781 0.0945
0.3219 0.6781 0.4055
0.6781 0.3219 0.5945
0.6781 0.3219 0.9055
0.9828 0.0172 0.2500
0.0000 0.0000 0.0000
0.0000 0.0000 0.5000
0.3518 0.6482 0.6521
0.3518 0.6482 0.8479
0.6482 0.3518 0.1521
0.6482 0.3518 0.3479
0.0513 0.4982 0.7500
0.1800 0.3125 0.5894
0.1800 0.3125 0.9106
0.1972 0.8028 0.5812
0.1972 0.8028 0.9188
0.3125 0.1800 0.0894
0.3125 0.1800 0.4106
0.4982 0.0513 0.2500
0.4983 0.5017 0.2500
0.5017 0.4983 0.7500
0.5018 0.9487 0.7500
0.6875 0.8200 0.5894
0.6875 0.8200 0.9106
0.8028 0.1972 0.0812
0.8028 0.1972 0.4188
0.8200 0.6875 0.0894
0.8200 0.6875 0.4106
0.9487 0.5018 0.2500
```

## Properties
SG ... Cmcm (63)
E_tot ... -6.568 eV per atom

(6)
Compound: Ba20Y10CuRu9O60
Source: the Materials Project database
Functional: PBE
Structure: optimized geometry

```
Ba20Y10CuRu9O60
1.0
10.3777 0.0000 0.0000
0.0000 5.9697 0.0000
-3.4375 0.0000 48.8506
Ba Y Cu Ru O
40 20 2 18 120
direct
0.0179 0.0000 0.0753
0.0250 0.5000 0.5750
0.0739 0.0000 0.2248
0.0751 0.5000 0.7251
0.1250 0.0000 0.3750
0.1321 0.5000 0.8763
0.1749 0.0000 0.5250
0.1746 0.5000 0.0249
0.2243 0.5000 0.1744
0.2251 0.0000 0.6750
0.2749 0.0000 0.8271
0.2749 0.5000 0.3250
0.3243 0.0000 0.9734
0.3250 0.5000 0.4750
0.3750 0.5000 0.6251
0.3821 0.0000 0.1240
0.4243 0.5000 0.7754
0.4249 0.0000 0.2750
0.4681 0.5000 0.9242
0.4750 0.0000 0.4250
0.5250 0.0000 0.5750
0.5319 0.5000 0.0758
0.5751 0.0000 0.7250
0.5757 0.5000 0.2246
0.6179 0.0000 0.8760
0.6250 0.5000 0.3749
0.6750 0.5000 0.5250
0.6757 0.0000 0.0266
0.7251 0.0000 0.1729
0.7251 0.5000 0.6750
0.7749 0.0000 0.3250
0.7757 0.5000 0.8256
0.8251 0.0000 0.4750
0.8254 0.5000 0.9751
0.8679 0.5000 0.1237
0.8750 0.0000 0.6250
0.9249 0.5000 0.2749
0.9261 0.0000 0.7752
0.9750 0.5000 0.4250
0.9821 0.0000 0.9247
0.0469 0.0000 0.1492
0.0501 0.5000 0.6501
0.1500 0.0000 0.4500
0.1526 0.5000 0.9492
0.2504 0.0000 0.7504
0.2500 0.5000 0.2497
0.3500 0.5000 0.5500
0.3531 0.0000 0.0504
0.4475 0.5000 0.8511
0.4500 0.0000 0.3499
0.5500 0.0000 0.6501
0.5525 0.5000 0.1489
0.6469 0.0000 0.9496
0.6500 0.5000 0.4500
0.7496 0.0000 0.2496
0.7500 0.5000 0.7503
0.8474 0.5000 0.0508
0.8500 0.0000 0.5500
0.9499 0.5000 0.3499
0.9531 0.0000 0.8508
0.3001 0.0000 0.9000
0.6999 0.0000 0.1000
0.0000 0.0000 0.0000
0.0000 0.5000 0.5000
0.1000 0.0000 0.3000
0.1000 0.5000 0.8001
0.2000 0.0000 0.6000
0.2002 0.5000 0.1000
0.3000 0.5000 0.4000
0.3999 0.0000 0.1996
0.4001 0.5000 0.7001
0.5000 0.0000 0.5000
0.5000 0.5000 0.0000
0.6001 0.0000 0.8004
0.5999 0.5000 0.2999
0.7000 0.5000 0.6000
0.8000 0.0000 0.4000
0.7998 0.5000 0.9000
0.9000 0.0000 0.7000
0.9000 0.5000 0.1999
0.0284 0.2655 0.8230
0.0284 0.7345 0.8230
0.0297 0.2349 0.3235
0.0297 0.7651 0.3235
0.0356 0.0000 0.5765
0.0371 0.5000 0.0765
0.0644 0.0000 0.7234
0.0645 0.5000 0.2237
0.0699 0.2359 0.9767
0.0705 0.2649 0.4765
0.0705 0.7351 0.4765
0.0699 0.7641 0.9767
0.1296 0.2350 0.6234
0.1296 0.7650 0.6234
0.1310 0.2666 0.1236
0.1310 0.7334 0.1236
0.1328 0.0000 0.8760
0.1356 0.5000 0.3765
0.1635 0.0000 0.0234
0.1644 0.5000 0.5235
0.1700 0.2660 0.7763
0.1700 0.7340 0.7763
0.1706 0.2350 0.2766
0.1706 0.7650 0.2766
0.2285 0.2360 0.9238
0.2285 0.7640 0.9238
0.2296 0.2650 0.4235
0.2296 0.7350 0.4235
0.2357 0.0000 0.1768
0.2359 0.5000 0.6765
0.2644 0.0000 0.3235
0.2640 0.5000 0.8229
0.2693 0.2662 0.0766
0.2693 0.7338 0.0766
0.2704 0.2350 0.5765
0.2704 0.7650 0.5765
0.3297 0.2344 0.2236
0.3297 0.2648 0.7234
0.3297 0.7352 0.7234
0.3297 0.7656 0.2236
0.3356 0.0000 0.4765
0.3358 0.5000 0.9768
0.3630 0.5000 0.1237
0.3644 0.0000 0.6234
0.3704 0.2649 0.3766
0.3704 0.7351 0.3766
0.3713 0.2354 0.8761
0.3713 0.7646 0.8761
0.4292 0.2666 0.0232
0.4292 0.7334 0.0232
0.4296 0.2351 0.5235
0.4296 0.7649 0.5235
0.4356 0.5000 0.2766
0.4367 0.0000 0.7764
0.4644 0.5000 0.4235
0.4677 0.0000 0.9239
0.4699 0.2362 0.1768
0.4704 0.2651 0.6765
0.4704 0.7349 0.6765
0.4699 0.7638 0.1768
0.5301 0.2362 0.8232
0.5296 0.2651 0.3235
0.5296 0.7349 0.3235
0.5301 0.7638 0.8232
0.5323 0.0000 0.0761
0.5356 0.5000 0.5765
0.5633 0.0000 0.2236
0.5644 0.5000 0.7234
0.5704 0.2351 0.4765
0.5704 0.7649 0.4765
0.5708 0.2666 0.9768
0.5708 0.7334 0.9768
0.6287 0.2354 0.1239
0.6287 0.7646 0.1239
0.6296 0.2649 0.6234
0.6296 0.7351 0.6234
0.6356 0.0000 0.3766
0.6370 0.5000 0.8763
0.6644 0.0000 0.5235
0.6642 0.5000 0.0232
0.6703 0.2344 0.7764
0.6703 0.2648 0.2766
0.6703 0.7352 0.2766
0.6703 0.7656 0.7764
0.7296 0.2350 0.4235
0.7296 0.7650 0.4235
0.7307 0.2662 0.9234
0.7307 0.7338 0.9234
0.7356 0.0000 0.6765
0.7360 0.5000 0.1771
0.7643 0.0000 0.8232
0.7641 0.5000 0.3235
0.7704 0.2650 0.5765
0.7704 0.7350 0.5765
0.7715 0.2360 0.0762
0.7715 0.7640 0.0762
0.8294 0.2350 0.7234
0.8294 0.7650 0.7234
0.8300 0.2660 0.2237
0.8300 0.7340 0.2237
0.8365 0.0000 0.9766
0.8356 0.5000 0.4765
0.8644 0.5000 0.6235
0.8672 0.0000 0.1240
0.8690 0.2666 0.8764
0.8690 0.7334 0.8764
0.8704 0.2350 0.3766
0.8704 0.7650 0.3766
0.9301 0.2359 0.0233
0.9295 0.2649 0.5235
0.9295 0.7351 0.5235
0.9301 0.7641 0.0233
0.9355 0.5000 0.7763
0.9356 0.0000 0.2766
0.9629 0.5000 0.9235
0.9644 0.0000 0.4235
0.9703 0.2349 0.6765
0.9703 0.7651 0.6765
0.9716 0.2655 0.1770
0.9716 0.7345 0.1770
```

## Properties
SG ... P2/m (10)
E_tot ... -7.259 eV per atom

Calculated corrected total energy (MP2020 scheme), -6.43, -6.43, -7.11, -7.08, -6.98, -7.67 eV per atom (same order as the records).
Calculated formation energy from the elements, -2031, -2036, -2539, -2499, -2118, -2797 meV per atom (same order as the records).